## SbP4O12 (PBE)

Data for SbP4O12 after structural relaxation.

The calculation puts the energy of formation at -2.36 eV per atom. The energy is -468.0 eV/cell.

a b c (Å): 8.808 7.536 15.770
angles (deg): 68.10 90.00 90.00
Fractional positions:
Sb 0.157 0.687 0.854
Sb 0.657 0.313 0.646
Sb 0.343 0.687 0.354
Sb 0.843 0.313 0.146
P 0.238 0.773 0.046
P 0.272 0.364 0.571
P 0.471 0.101 0.186
P 0.772 0.636 0.929
P 0.029 0.101 0.686
P 0.529 0.899 0.814
P 0.550 0.344 0.285
P 0.450 0.656 0.715
P 0.228 0.364 0.071
P 0.050 0.656 0.215
P 0.950 0.344 0.785
P 0.262 0.773 0.546
P 0.762 0.227 0.954
P 0.728 0.636 0.429
P 0.971 0.899 0.314
P 0.738 0.227 0.454
O 0.603 0.095 0.776
O 0.135 0.889 0.340
O 0.940 0.800 0.240
O 0.377 0.797 0.623
O 0.865 0.111 0.660
O 0.596 0.736 0.370
O 0.871 0.106 0.465
O 0.635 0.111 0.160
O 0.103 0.905 0.724
O 0.211 0.422 0.968
O 0.123 0.797 0.123
O 0.365 0.889 0.840
O 0.404 0.264 0.630
O 0.332 0.577 0.790
O 0.959 0.502 0.201
O 0.283 0.543 0.094
O 0.711 0.578 0.532
O 0.877 0.203 0.877
O 0.126 0.230 0.599
O 0.374 0.230 0.099
O 0.897 0.095 0.276
O 0.832 0.423 0.710
O 0.789 0.578 0.032
O 0.129 0.787 0.968
O 0.668 0.423 0.210
O 0.541 0.502 0.701
O 0.289 0.422 0.468
O 0.623 0.203 0.377
O 0.129 0.894 0.535
O 0.096 0.264 0.130
O 0.371 0.894 0.035
O 0.459 0.498 0.299
O 0.629 0.213 0.532
O 0.871 0.213 0.032
O 0.904 0.736 0.870
O 0.217 0.543 0.594
O 0.371 0.787 0.468
O 0.629 0.106 0.965
O 0.874 0.770 0.401
O 0.041 0.498 0.799
O 0.060 0.200 0.760
O 0.168 0.577 0.290
O 0.783 0.457 0.406
O 0.560 0.800 0.740
O 0.717 0.457 0.906
O 0.440 0.200 0.260
O 0.397 0.905 0.224
O 0.626 0.770 0.901